Record 1
A plane-wave DFT calculation with PBE+U was carried out for a relaxed MgMnO3 crystal.

Calculated values
Space group ... No. 62

POSCAR file:
```
MgMnO3
1.0
-0.964 2.607 4.166
0.707 -4.316 2.864
7.100 1.591 0.646
Mg Mn O
4 4 12
direct
0.018 0.935 0.750 Mg
0.482 0.435 0.750 Mg
0.518 0.565 0.250 Mg
0.982 0.065 0.250 Mg
0.000 0.500 0.000 Mn
0.000 0.500 0.500 Mn
0.500 0.000 0.500 Mn
0.500 0.000 0.000 Mn
0.127 0.443 0.250 O
0.187 0.193 0.566 O
0.187 0.193 0.934 O
0.313 0.693 0.566 O
0.313 0.693 0.934 O
0.373 0.943 0.250 O
0.627 0.057 0.750 O
0.687 0.307 0.066 O
0.687 0.307 0.434 O
0.813 0.807 0.066 O
0.813 0.807 0.434 O
0.873 0.557 0.750 O
```

---

Record 2
A plane-wave DFT calculation with PBE+U was carried out for a relaxed MgMn6P6O24 crystal.

Calculated values
Space group ... No. 1
Polymorph energy (0 for the lowest one) ... 0.0046 eV per atom

POSCAR file:
```
MgMn6P6O24
1.0
8.120 -0.057 -2.638
-3.845 7.921 -2.820
0.087 -0.105 8.653
Mg Mn P O
1 6 6 24
direct
0.508 0.605 0.101 Mg
0.042 0.449 0.273 Mn
0.279 0.064 0.443 Mn
0.789 0.929 0.566 Mn
0.537 0.803 0.873 Mn
0.447 0.229 0.046 Mn
0.923 0.534 0.760 Mn
0.554 0.396 0.791 P
0.092 0.297 0.907 P
0.892 0.081 0.268 P
0.307 0.867 0.068 P
0.772 0.566 0.409 P
0.365 0.781 0.551 P
0.352 0.276 0.642 O
0.854 0.649 0.621 O
0.935 0.590 0.357 O
0.427 0.768 0.045 O
0.305 0.382 0.016 O
0.761 0.986 0.061 O
0.579 0.847 0.657 O
0.364 0.967 0.272 O
0.027 0.110 0.781 O
0.280 0.645 0.352 O
0.804 0.018 0.377 O
0.064 0.051 0.280 O
0.300 0.695 0.665 O
0.326 0.937 0.574 O
0.943 0.275 0.336 O
0.690 0.682 0.352 O
0.676 0.385 0.691 O
0.104 0.737 0.976 O
0.037 0.393 0.800 O
0.626 0.383 0.317 O
0.571 0.580 0.883 O
0.350 0.982 0.979 O
0.606 0.344 0.943 O
0.009 0.306 0.044 O
```

---

Record 3
A plane-wave DFT calculation with PBE+U was carried out for a relaxed MgMnP4O12 crystal.

Calculated values
Space group ... No. 15

POSCAR file:
```
MgMnP4O12
1.0
3.101 -6.348 -2.116
3.423 -3.166 5.714
-4.837 -8.336 3.587
Mg Mn P O
2 2 8 24
direct
0.959 0.041 0.750 Mg
0.041 0.959 0.250 Mg
0.500 0.000 0.000 Mn
0.000 0.500 0.500 Mn
0.315 0.294 0.693 P
0.706 0.685 0.807 P
0.685 0.706 0.307 P
0.294 0.315 0.193 P
0.731 0.251 0.479 P
0.749 0.269 0.021 P
0.269 0.749 0.521 P
0.251 0.731 0.979 P
0.311 0.531 0.646 O
0.469 0.689 0.854 O
0.689 0.469 0.354 O
0.531 0.311 0.146 O
0.504 0.214 0.565 O
0.786 0.496 0.935 O
0.496 0.786 0.435 O
0.214 0.504 0.065 O
0.349 0.195 0.841 O
0.805 0.651 0.659 O
0.651 0.805 0.159 O
0.195 0.349 0.341 O
0.129 0.272 0.676 O
0.728 0.871 0.824 O
0.871 0.728 0.324 O
0.272 0.129 0.176 O
0.812 0.275 0.584 O
0.725 0.188 0.916 O
0.188 0.725 0.416 O
0.275 0.812 0.084 O
0.846 0.094 0.403 O
0.906 0.154 0.097 O
0.154 0.906 0.597 O
0.094 0.846 0.903 O
```

---

Record 4
A plane-wave DFT calculation with PBE+U was carried out for a relaxed MgMn6P6O24 crystal.

Calculated values
Space group ... No. 1
Polymorph energy (0 for the lowest one) ... 0.0000 eV per atom

POSCAR file:
```
MgMn6P6O24
1.0
8.074 0.077 -2.900
-3.557 7.668 -2.714
-0.108 0.046 8.930
Mg Mn P O
1 6 6 24
direct
0.418 0.596 0.199 Mg
0.051 0.462 0.295 Mn
0.280 0.073 0.427 Mn
0.805 0.942 0.552 Mn
0.540 0.763 0.915 Mn
0.446 0.212 0.031 Mn
0.881 0.538 0.786 Mn
0.554 0.371 0.768 P
0.063 0.294 0.921 P
0.916 0.099 0.289 P
0.283 0.851 0.063 P
0.771 0.577 0.407 P
0.397 0.798 0.547 P
0.351 0.289 0.623 O
0.838 0.636 0.606 O
0.933 0.605 0.364 O
0.383 0.726 0.055 O
0.273 0.351 0.022 O
0.740 0.988 0.118 O
0.601 0.883 0.597 O
0.355 0.966 0.262 O
0.975 0.101 0.789 O
0.290 0.644 0.349 O
0.926 0.049 0.444 O
0.083 0.090 0.259 O
0.366 0.713 0.664 O
0.319 0.937 0.555 O
0.943 0.293 0.359 O
0.691 0.712 0.357 O
0.668 0.324 0.670 O
0.074 0.749 0.980 O
0.030 0.410 0.825 O
0.608 0.403 0.290 O
0.641 0.574 0.850 O
0.335 0.959 0.969 O
0.578 0.309 0.912 O
0.990 0.317 0.058 O
```

---

The records above give, respectively, formation enthalpy at 0 K values of -2.295, -2.459, -2.719, -2.464 eV/atom.
The records above give, respectively, calculated volume values of 9.562, 14.945, 12.740, 14.984 A^3/atom.
The records above give, respectively, total DFT energy (no corrections) values of -133.4, -272.3, -261.7, -272.5 eV for the cell shown.